# Sm6Al39V8 | the Materials Project database | GGA-PBE | relaxed
# - DFT total energy: -4.97 eV per atom
# - Crystal system: hexagonal
# - Space-group type: P6_3/mcm
# - V: 17.6 A^3/atom
# - Spin magnetization: 5.86 μB/f.u.
data_Sm6Al39V8
_cell_length_a 11.054
_cell_length_b 11.054
_cell_length_c 17.623
_cell_angle_alpha 90.00
_cell_angle_beta 90.00
_cell_angle_gamma 120.00
_symmetry_space_group_name_H-M 'P 1'
_symmetry_Int_Tables_number 1
_symmetry_space_group_name_Hall 'P 1'
loop_
_atom_site_label
_atom_site_type_symbol
_atom_site_fract_x
_atom_site_fract_y
_atom_site_fract_z
Sm1 Sm 0.000 0.466 0.099
Sm2 Sm 0.000 0.466 0.401
Sm3 Sm 0.000 0.534 0.599
Sm4 Sm 0.000 0.534 0.901
Sm5 Sm 0.466 0.000 0.099
Sm6 Sm 0.466 0.000 0.401
Sm7 Sm 0.466 0.466 0.599
Sm8 Sm 0.466 0.466 0.901
Sm9 Sm 0.534 0.000 0.599
Sm10 Sm 0.534 0.000 0.901
Sm11 Sm 0.534 0.534 0.099
Sm12 Sm 0.534 0.534 0.401
Al1 Al 0.000 0.150 0.750
Al2 Al 0.000 0.154 0.117
Al3 Al 0.000 0.154 0.383
Al4 Al 0.000 0.250 0.529
Al5 Al 0.000 0.250 0.971
Al6 Al 0.000 0.750 0.029
Al7 Al 0.000 0.750 0.471
Al8 Al 0.000 0.846 0.617
Al9 Al 0.000 0.846 0.883
Al10 Al 0.000 0.850 0.250
Al11 Al 0.150 0.000 0.750
Al12 Al 0.150 0.150 0.250
Al13 Al 0.154 0.000 0.117
Al14 Al 0.154 0.000 0.383
Al15 Al 0.154 0.154 0.617
Al16 Al 0.154 0.154 0.883
Al17 Al 0.155 0.551 0.250
Al18 Al 0.155 0.604 0.750
Al19 Al 0.163 0.396 0.663
Al20 Al 0.163 0.396 0.837
Al21 Al 0.163 0.767 0.163
Al22 Al 0.163 0.767 0.337
Al23 Al 0.233 0.396 0.163
Al24 Al 0.233 0.396 0.337
Al25 Al 0.233 0.837 0.663
Al26 Al 0.233 0.837 0.837
Al27 Al 0.250 0.000 0.529
Al28 Al 0.250 0.000 0.971
Al29 Al 0.250 0.250 0.029
Al30 Al 0.250 0.250 0.471
Al31 Al 0.250 0.501 0.000
Al32 Al 0.250 0.501 0.500
Al33 Al 0.250 0.750 0.000
Al34 Al 0.250 0.750 0.500
Al35 Al 0.396 0.163 0.663
Al36 Al 0.396 0.163 0.837
Al37 Al 0.396 0.233 0.163
Al38 Al 0.396 0.233 0.337
Al39 Al 0.396 0.551 0.750
Al40 Al 0.396 0.845 0.250
Al41 Al 0.449 0.604 0.250
Al42 Al 0.449 0.845 0.750
Al43 Al 0.499 0.750 0.000
Al44 Al 0.499 0.750 0.500
Al45 Al 0.501 0.250 0.000
Al46 Al 0.501 0.250 0.500
Al47 Al 0.551 0.155 0.250
Al48 Al 0.551 0.396 0.750
Al49 Al 0.604 0.155 0.750
Al50 Al 0.604 0.449 0.250
Al51 Al 0.604 0.767 0.663
Al52 Al 0.604 0.767 0.837
Al53 Al 0.604 0.837 0.163
Al54 Al 0.604 0.837 0.337
Al55 Al 0.750 0.000 0.029
Al56 Al 0.750 0.000 0.471
Al57 Al 0.750 0.250 0.000
Al58 Al 0.750 0.250 0.500
Al59 Al 0.750 0.499 0.000
Al60 Al 0.750 0.499 0.500
Al61 Al 0.750 0.750 0.529
Al62 Al 0.750 0.750 0.971
Al63 Al 0.767 0.163 0.163
Al64 Al 0.767 0.163 0.337
Al65 Al 0.767 0.604 0.663
Al66 Al 0.767 0.604 0.837
Al67 Al 0.837 0.233 0.663
Al68 Al 0.837 0.233 0.837
Al69 Al 0.837 0.604 0.163
Al70 Al 0.837 0.604 0.337
Al71 Al 0.845 0.396 0.250
Al72 Al 0.845 0.449 0.750
Al73 Al 0.846 0.000 0.617
Al74 Al 0.846 0.000 0.883
Al75 Al 0.846 0.846 0.117
Al76 Al 0.846 0.846 0.383
Al77 Al 0.850 0.000 0.250
Al78 Al 0.850 0.850 0.750
V1 V 0.000 0.000 0.000
V2 V 0.000 0.000 0.500
V3 V 0.000 0.262 0.250
V4 V 0.000 0.738 0.750
V5 V 0.262 0.000 0.250
V6 V 0.262 0.262 0.750
V7 V 0.333 0.667 0.131
V8 V 0.333 0.667 0.369
V9 V 0.333 0.667 0.631
V10 V 0.333 0.667 0.869
V11 V 0.667 0.333 0.131
V12 V 0.667 0.333 0.369
V13 V 0.667 0.333 0.631
V14 V 0.667 0.333 0.869
V15 V 0.738 0.000 0.750
V16 V 0.738 0.738 0.250



# K2InSbI6 | the Materials Project database | GGA-PBE | relaxed
# - Energy with MP2020 corrections: -28.3 eV for the cell shown
# - Crystal system: cubic
# - Space-group type: Fm-3m
# - V: 48.6 A^3/atom
# - Spin magnetization: 0.00 μB/f.u.
data_K2InSbI6
_cell_length_a 8.825
_cell_length_b 8.825
_cell_length_c 8.825
_cell_angle_alpha 60.00
_cell_angle_beta 60.00
_cell_angle_gamma 60.00
_symmetry_space_group_name_H-M 'P 1'
_symmetry_Int_Tables_number 1
_symmetry_space_group_name_Hall 'P 1'
loop_
_atom_site_label
_atom_site_type_symbol
_atom_site_fract_x
_atom_site_fract_y
_atom_site_fract_z
K1 K 0.250 0.250 0.250
K2 K 0.750 0.750 0.750
In1 In 0.000 0.000 0.000
Sb1 Sb 0.500 0.500 0.500
I1 I 0.256 0.256 0.744
I2 I 0.256 0.744 0.256
I3 I 0.256 0.744 0.744
I4 I 0.744 0.256 0.256
I5 I 0.744 0.256 0.744
I6 I 0.744 0.744 0.256



# V3Ag | the Materials Project database | GGA-PBE | relaxed
# - DFT total energy: -7.15 eV per atom
# - Crystal system: cubic
# - Space-group type: Pm-3m
# - V: 14.6 A^3/atom
# - Spin magnetization: 0.82 μB/f.u.
data_V3Ag
_cell_length_a 3.882
_cell_length_b 3.882
_cell_length_c 3.882
_cell_angle_alpha 90.00
_cell_angle_beta 90.00
_cell_angle_gamma 90.00
_symmetry_space_group_name_H-M 'P 1'
_symmetry_Int_Tables_number 1
_symmetry_space_group_name_Hall 'P 1'
loop_
_atom_site_label
_atom_site_type_symbol
_atom_site_fract_x
_atom_site_fract_y
_atom_site_fract_z
V1 V 0.000 0.000 0.500
V2 V 0.000 0.500 0.000
V3 V 0.500 0.000 0.000
Ag1 Ag 0.500 0.500 0.500



# Nd2Ho2O5 | the Materials Project database | GGA-PBE | relaxed
# - Energy with MP2020 corrections: -71.9 eV for the cell shown
# - Crystal system: tetragonal
# - Space-group type: P4/mmm
# - V: 18.3 A^3/atom
# - Spin magnetization: 0.06 μB/f.u.
data_Nd2Ho2O5
_cell_length_a 3.856
_cell_length_b 3.856
_cell_length_c 11.068
_cell_angle_alpha 90.00
_cell_angle_beta 90.00
_cell_angle_gamma 90.00
_symmetry_space_group_name_H-M 'P 1'
_symmetry_Int_Tables_number 1
_symmetry_space_group_name_Hall 'P 1'
loop_
_atom_site_label
_atom_site_type_symbol
_atom_site_fract_x
_atom_site_fract_y
_atom_site_fract_z
Nd1 Nd 0.000 0.000 0.225
Nd2 Nd 0.000 0.000 0.775
Ho1 Ho 0.500 0.500 0.000
Ho2 Ho 0.500 0.500 0.500
O1 O 0.000 0.000 0.500
O2 O 0.000 0.500 0.125
O3 O 0.000 0.500 0.875
O4 O 0.500 0.000 0.125
O5 O 0.500 0.000 0.875



# SrOsO3 | the Materials Project database | GGA-PBE | relaxed
# - Energy with MP2020 corrections: -38.1 eV for the cell shown
# - Crystal system: cubic
# - Space-group type: Pm-3m
# - V: 12.7 A^3/atom
# - Spin magnetization: 1.05 μB/f.u.
data_SrOsO3
_cell_length_a 3.992
_cell_length_b 3.992
_cell_length_c 3.992
_cell_angle_alpha 90.00
_cell_angle_beta 90.00
_cell_angle_gamma 90.00
_symmetry_space_group_name_H-M 'P 1'
_symmetry_Int_Tables_number 1
_symmetry_space_group_name_Hall 'P 1'
loop_
_atom_site_label
_atom_site_type_symbol
_atom_site_fract_x
_atom_site_fract_y
_atom_site_fract_z
Sr1 Sr 0.000 0.000 0.000
Os1 Os 0.500 0.500 0.500
O1 O 0.000 0.500 0.500
O2 O 0.500 0.000 0.500
O3 O 0.500 0.500 0.000



# Eu5Pd2 | the Materials Project database | GGA-PBE | relaxed
# - DFT total energy: -9.30 eV per atom
# - Crystal system: monoclinic
# - Space-group type: C2/c
# - V: 32.6 A^3/atom
data_Eu5Pd2
_cell_length_a 9.206
_cell_length_b 9.206
_cell_length_c 7.831
_cell_angle_alpha 96.75
_cell_angle_beta 96.75
_cell_angle_gamma 43.95
_symmetry_space_group_name_H-M 'P 1'
_symmetry_Int_Tables_number 1
_symmetry_space_group_name_Hall 'P 1'
loop_
_atom_site_label
_atom_site_type_symbol
_atom_site_fract_x
_atom_site_fract_y
_atom_site_fract_z
Eu1 Eu 0.085 0.915 0.750
Eu2 Eu 0.140 0.298 0.317
Eu3 Eu 0.298 0.140 0.817
Eu4 Eu 0.299 0.517 0.080
Eu5 Eu 0.483 0.701 0.420
Eu6 Eu 0.517 0.299 0.580
Eu7 Eu 0.701 0.483 0.920
Eu8 Eu 0.702 0.860 0.183
Eu9 Eu 0.860 0.702 0.683
Eu10 Eu 0.915 0.085 0.250
Pd1 Pd 0.096 0.686 0.421
Pd2 Pd 0.314 0.904 0.079
Pd3 Pd 0.686 0.096 0.921
Pd4 Pd 0.904 0.314 0.579